1.
CaSi2B2O8, optimized geometry, DFT PBE-GGA; formation energy = -3.19 eV/atom; SG = Pnma (62); E_tot = -7.833 eV per atom; crystal system = orthorhombic
1.0
8.152 0.000 0.000
0.000 7.808 0.000
0.000 0.000 8.862
Ca Si B O
4 8 8 32
Direct
0.112 0.250 0.076 Ca
0.388 0.750 0.576 Ca
0.612 0.250 0.424 Ca
0.888 0.750 0.924 Ca
0.055 0.055 0.692 Si
0.055 0.445 0.692 Si
0.445 0.555 0.192 Si
0.445 0.945 0.192 Si
0.555 0.055 0.808 Si
0.555 0.445 0.808 Si
0.945 0.555 0.308 Si
0.945 0.945 0.308 Si
0.240 0.079 0.418 B
0.240 0.421 0.418 B
0.260 0.579 0.918 B
0.260 0.921 0.918 B
0.740 0.079 0.082 B
0.740 0.421 0.082 B
0.760 0.579 0.582 B
0.760 0.921 0.582 B
0.011 0.750 0.335 O
0.100 0.078 0.313 O
0.100 0.422 0.313 O
0.128 0.041 0.864 O
0.128 0.459 0.864 O
0.186 0.750 0.927 O
0.193 0.003 0.567 O
0.193 0.497 0.567 O
0.307 0.503 0.067 O
0.307 0.997 0.067 O
0.314 0.250 0.427 O
0.372 0.541 0.364 O
0.372 0.959 0.364 O
0.400 0.578 0.813 O
0.400 0.922 0.813 O
0.489 0.250 0.835 O
0.511 0.750 0.165 O
0.600 0.078 0.187 O
0.600 0.422 0.187 O
0.628 0.041 0.636 O
0.628 0.459 0.636 O
0.686 0.750 0.573 O
0.693 0.003 0.933 O
0.693 0.497 0.933 O
0.807 0.503 0.433 O
0.807 0.997 0.433 O
0.814 0.250 0.073 O
0.872 0.541 0.136 O
0.872 0.959 0.136 O
0.900 0.578 0.687 O
0.900 0.922 0.687 O
0.989 0.250 0.665 O

2.
Mg2TiFe3S8, optimized geometry, DFT PBE-GGA; formation energy = -1.03 eV/atom; SG = C2/m (12); E_tot = -5.718 eV per atom; crystal system = monoclinic
1.0
5.984 -3.562 0.000
5.984 3.562 0.000
-3.845 0.000 5.805
Mg Ti Fe S
2 1 3 8
Direct
0.126 0.126 0.375 Mg
0.874 0.874 0.625 Mg
0.500 0.500 0.000 Ti
0.000 0.500 0.000 Fe
0.500 0.000 0.000 Fe
0.500 0.500 0.500 Fe
0.254 0.709 0.245 S
0.255 0.255 0.791 S
0.270 0.270 0.231 S
0.291 0.746 0.755 S
0.709 0.254 0.245 S
0.730 0.730 0.769 S
0.745 0.745 0.209 S
0.746 0.291 0.755 S

3.
KNa2IrF6, optimized geometry, DFT PBE-GGA; formation energy = -2.33 eV/atom; SG = Fm-3m (225); E_tot = -4.458 eV per atom; crystal system = cubic
1.0
0.000 4.470 4.470
4.470 0.000 4.470
4.470 4.470 0.000
K Na Ir F
1 2 1 6
Direct
0.000 0.000 0.000 K
0.250 0.250 0.250 Na
0.750 0.750 0.750 Na
0.500 0.500 0.500 Ir
0.274 0.274 0.726 F
0.274 0.726 0.274 F
0.274 0.726 0.726 F
0.726 0.274 0.274 F
0.726 0.274 0.726 F
0.726 0.726 0.274 F

4.
NpSi2Pd2, optimized geometry, DFT PBE-GGA; formation energy = -0.61 eV/atom; SG = I4/mmm (139); E_tot = -7.442 eV per atom; crystal system = tetragonal
1.0
4.088 0.000 0.000
0.000 4.088 0.000
0.000 0.000 10.314
Np Si Pd
2 4 4
Direct
0.000 0.000 0.000 Np
0.500 0.500 0.500 Np
0.000 0.000 0.388 Si
0.000 0.000 0.612 Si
0.500 0.500 0.112 Si
0.500 0.500 0.888 Si
0.000 0.500 0.250 Pd
0.000 0.500 0.750 Pd
0.500 0.000 0.250 Pd
0.500 0.000 0.750 Pd

5.
ZrTi4Be5, optimized geometry, DFT PBE-GGA; formation energy = -0.12 eV/atom; SG = P4/mmm (123); E_tot = -6.007 eV per atom; crystal system = tetragonal
1.0
2.981 0.000 0.000
0.000 2.981 0.000
0.000 0.000 14.873
Zr Ti Be
1 4 5
Direct
0.000 0.000 0.000 Zr
0.000 0.000 0.209 Ti
0.000 0.000 0.404 Ti
0.000 0.000 0.596 Ti
0.000 0.000 0.791 Ti
0.500 0.500 0.116 Be
0.500 0.500 0.306 Be
0.500 0.500 0.500 Be
0.500 0.500 0.694 Be
0.500 0.500 0.884 Be

6.
KAsO3, optimized geometry, DFT PBE-GGA; formation energy = -1.94 eV/atom; SG = P-1 (2); E_tot = -5.649 eV per atom; crystal system = triclinic
1.0
7.656 0.000 0.000
1.901 7.417 0.000
0.824 3.733 9.796
K As O
6 6 18
Direct
0.020 0.198 0.173 K
0.268 0.740 0.502 K
0.397 0.595 0.159 K
0.603 0.405 0.841 K
0.732 0.260 0.498 K
0.980 0.802 0.827 K
0.138 0.318 0.797 As
0.235 0.226 0.522 As
0.474 0.968 0.796 As
0.526 0.032 0.204 As
0.765 0.774 0.478 As
0.862 0.682 0.203 As
0.042 0.683 0.103 O
0.074 0.300 0.641 O
0.112 0.158 0.433 O
0.245 0.496 0.763 O
0.288 0.084 0.877 O
0.359 0.917 0.236 O
0.360 0.387 0.452 O
0.368 0.999 0.637 O
0.493 0.266 0.111 O
0.507 0.734 0.889 O
0.632 0.001 0.363 O
0.640 0.613 0.548 O
0.641 0.083 0.764 O
0.712 0.916 0.123 O
0.755 0.504 0.237 O
0.888 0.842 0.567 O
0.926 0.700 0.359 O
0.958 0.317 0.897 O

7.
Ba11Cd6Sb12, optimized geometry, DFT PBE-GGA; formation energy = -0.86 eV/atom; SG = C2/m (12); E_tot = -3.407 eV per atom; crystal system = monoclinic
1.0
17.351 -2.487 0.000
17.351 2.487 0.000
-4.539 0.000 12.631
Ba Cd Sb
11 6 12
Direct
0.000 0.000 0.000 Ba
0.018 0.018 0.679 Ba
0.113 0.113 0.510 Ba
0.126 0.126 0.019 Ba
0.199 0.199 0.347 Ba
0.281 0.281 0.135 Ba
0.719 0.719 0.865 Ba
0.801 0.801 0.653 Ba
0.874 0.874 0.981 Ba
0.887 0.887 0.490 Ba
0.982 0.982 0.321 Ba
0.218 0.218 0.671 Cd
0.401 0.401 0.254 Cd
0.454 0.454 0.760 Cd
0.546 0.546 0.240 Cd
0.599 0.599 0.746 Cd
0.782 0.782 0.329 Cd
0.087 0.087 0.236 Sb
0.147 0.147 0.783 Sb
0.293 0.293 0.857 Sb
0.307 0.307 0.456 Sb
0.454 0.454 0.120 Sb
0.458 0.458 0.494 Sb
0.542 0.542 0.506 Sb
0.546 0.546 0.880 Sb
0.693 0.693 0.544 Sb
0.707 0.707 0.143 Sb
0.853 0.853 0.217 Sb
0.913 0.913 0.764 Sb

8.
MgCu6PbO8, optimized geometry, DFT PBE-GGA; formation energy = -0.93 eV/atom; SG = Fm-3m (225); E_tot = -4.926 eV per atom; crystal system = cubic; energy above the most stable polymorph in this dataset = 2.03 eV/f.u.
1.0
0.000 4.684 4.684
4.684 0.000 4.684
4.684 4.684 0.000
Mg Cu Pb O
1 6 1 8
Direct
0.000 0.000 0.000 Mg
0.000 0.000 0.500 Cu
0.000 0.500 0.000 Cu
0.000 0.500 0.500 Cu
0.500 0.000 0.000 Cu
0.500 0.000 0.500 Cu
0.500 0.500 0.000 Cu
0.500 0.500 0.500 Pb
0.067 0.644 0.644 O
0.356 0.356 0.356 O
0.356 0.356 0.933 O
0.356 0.933 0.356 O
0.644 0.067 0.644 O
0.644 0.644 0.067 O
0.644 0.644 0.644 O
0.933 0.356 0.356 O

9.
AsCl5, optimized geometry, DFT PBE-GGA; formation energy = -0.95 eV/atom; SG = Pmmn (59); E_tot = -2.756 eV per atom; crystal system = orthorhombic
1.0
7.737 0.000 0.000
0.000 8.063 0.000
0.000 0.000 6.789
As Cl
2 10
Direct
0.250 0.250 0.175 As
0.750 0.750 0.825 As
0.008 0.250 0.339 Cl
0.250 0.250 0.855 Cl
0.250 0.530 0.174 Cl
0.250 0.970 0.174 Cl
0.492 0.250 0.339 Cl
0.508 0.750 0.661 Cl
0.750 0.030 0.826 Cl
0.750 0.470 0.826 Cl
0.750 0.750 0.145 Cl
0.992 0.750 0.661 Cl

10.
AgAu, optimized geometry, DFT PBE-GGA; formation energy = -0.04 eV/atom; SG = R-3m (166); E_tot = -3.095 eV per atom; crystal system = trigonal
1.0
2.946 0.000 0.000
-1.473 2.551 0.000
0.000 0.000 14.368
Ag Au
3 3
Direct
0.000 0.000 0.000 Ag
0.333 0.667 0.667 Ag
0.667 0.333 0.333 Ag
0.000 0.000 0.500 Au
0.333 0.667 0.167 Au
0.667 0.333 0.833 Au

11.
Sm3Mg2WS8, optimized geometry, DFT PBE-GGA; formation energy = -1.72 eV/atom; SG = R-3m (166); E_tot = -5.965 eV per atom; crystal system = trigonal
1.0
3.975 2.295 6.275
-3.975 2.295 6.275
0.000 -4.590 6.275
Sm Mg W S
3 2 1 8
Direct
0.000 0.500 0.500 Sm
0.500 0.000 0.500 Sm
0.500 0.500 0.000 Sm
0.125 0.125 0.125 Mg
0.875 0.875 0.875 Mg
0.500 0.500 0.500 W
0.254 0.254 0.254 S
0.266 0.731 0.731 S
0.269 0.269 0.734 S
0.269 0.734 0.269 S
0.731 0.266 0.731 S
0.731 0.731 0.266 S
0.734 0.269 0.269 S
0.746 0.746 0.746 S

12.
ZrCuF6, optimized geometry, DFT PBE-GGA; formation energy = -3.18 eV/atom; SG = P-1 (2); E_tot = -5.846 eV per atom; crystal system = triclinic
1.0
5.627 0.000 0.000
-0.057 5.630 0.000
-2.732 -2.781 4.225
Zr Cu F
1 1 6
Direct
0.000 0.000 0.000 Zr
0.500 0.500 0.000 Cu
0.196 0.200 0.471 F
0.262 0.749 0.003 F
0.287 0.296 0.069 F
0.713 0.704 0.931 F
0.738 0.251 0.997 F
0.804 0.800 0.529 F

13.
Ba8Li13GaSb12, optimized geometry, DFT PBE-GGA; formation energy = -0.89 eV/atom; SG = Cm (8); E_tot = -3.555 eV per atom; crystal system = monoclinic
1.0
9.155 -2.488 0.000
9.155 2.488 0.000
-2.572 0.000 21.049
Ba Li Ga Sb
8 13 1 12
Direct
0.000 0.000 0.000 Ba
0.048 0.048 0.213 Ba
0.189 0.189 0.871 Ba
0.233 0.233 0.085 Ba
0.503 0.503 0.495 Ba
0.550 0.550 0.710 Ba
0.686 0.686 0.368 Ba
0.730 0.730 0.582 Ba
0.001 0.001 0.381 Li
0.230 0.230 0.699 Li
0.306 0.306 0.493 Li
0.358 0.358 0.367 Li
0.367 0.367 0.794 Li
0.376 0.376 0.214 Li
0.427 0.427 0.086 Li
0.500 0.500 0.882 Li
0.733 0.733 0.199 Li
0.808 0.808 0.995 Li
0.858 0.858 0.870 Li
0.867 0.867 0.289 Li
0.930 0.930 0.585 Li
0.877 0.877 0.713 Ga
0.094 0.094 0.604 Sb
0.141 0.141 0.479 Sb
0.241 0.241 0.268 Sb
0.367 0.367 0.945 Sb
0.369 0.369 0.639 Sb
0.493 0.493 0.314 Sb
0.594 0.594 0.101 Sb
0.639 0.639 0.976 Sb
0.746 0.746 0.765 Sb
0.867 0.867 0.453 Sb
0.868 0.868 0.131 Sb
0.992 0.992 0.809 Sb

14.
NaEuSnSbO6, optimized geometry, DFT PBE-GGA; formation energy = -1.94 eV/atom; SG = Pnnn (48); E_tot = -6.470 eV per atom; crystal system = orthorhombic; energy above the most stable polymorph in this dataset = 3.12 eV/f.u.
1.0
8.736 0.000 0.000
0.000 8.825 0.000
0.000 0.000 8.960
Na Eu Sn Sb O
4 4 4 4 24
Direct
0.250 0.250 0.250 Na
0.250 0.250 0.750 Na
0.750 0.750 0.250 Na
0.750 0.750 0.750 Na
0.250 0.750 0.250 Eu
0.250 0.750 0.750 Eu
0.750 0.250 0.250 Eu
0.750 0.250 0.750 Eu
0.000 0.000 0.000 Sn
0.000 0.500 0.500 Sn
0.500 0.000 0.500 Sn
0.500 0.500 0.000 Sn
0.000 0.000 0.500 Sb
0.000 0.500 0.000 Sb
0.500 0.000 0.000 Sb
0.500 0.500 0.500 Sb
0.004 0.248 0.037 O
0.004 0.252 0.463 O
0.034 0.032 0.752 O
0.034 0.468 0.748 O
0.247 0.560 0.473 O
0.247 0.940 0.027 O
0.253 0.560 0.027 O
0.253 0.940 0.473 O
0.466 0.032 0.748 O
0.466 0.468 0.752 O
0.496 0.248 0.463 O
0.496 0.252 0.037 O
0.504 0.748 0.963 O
0.504 0.752 0.537 O
0.534 0.532 0.248 O
0.534 0.968 0.252 O
0.747 0.060 0.527 O
0.747 0.440 0.973 O
0.753 0.060 0.973 O
0.753 0.440 0.527 O
0.966 0.532 0.252 O
0.966 0.968 0.248 O
0.996 0.748 0.537 O
0.996 0.752 0.963 O

15.
CaNdEuSbO6, optimized geometry, DFT PBE-GGA; formation energy = -2.84 eV/atom; SG = F-43m (216); E_tot = -7.515 eV per atom; crystal system = cubic; energy above the most stable polymorph in this dataset = 0.94 eV/f.u.
1.0
0.000 4.266 4.266
4.266 0.000 4.266
4.266 4.266 0.000
Ca Nd Eu Sb O
1 1 1 1 6
Direct
0.000 0.000 0.000 Ca
0.750 0.750 0.750 Nd
0.500 0.500 0.500 Eu
0.250 0.250 0.250 Sb
0.017 0.017 0.483 O
0.017 0.483 0.017 O
0.017 0.483 0.483 O
0.483 0.017 0.017 O
0.483 0.017 0.483 O
0.483 0.483 0.017 O